1.
NaZnB3H12 | GGA-PBE | optimized geometry

Energy above the most stable polymorph in this dataset, meV per atom: 0
Calculated density, g/cm³: 1.2
Formation energy, eV/atom: -0.260

a b c (Å): 8.668 4.478 18.834
angles (deg): 90.00 96.97 90.00
Positions (direct):
Na1 0.185 0.155 0.362
Na2 0.185 0.345 0.862
Na3 0.815 0.655 0.138
Na4 0.815 0.845 0.638
Zn1 0.275 0.544 0.606
Zn2 0.275 0.956 0.106
Zn3 0.725 0.044 0.894
Zn4 0.725 0.456 0.394
B1 0.095 0.115 0.177
B2 0.095 0.385 0.677
B3 0.222 0.534 0.488
B4 0.222 0.966 0.988
B5 0.498 0.743 0.649
B6 0.498 0.757 0.149
B7 0.502 0.243 0.851
B8 0.502 0.257 0.351
B9 0.778 0.034 0.012
B10 0.778 0.466 0.512
B11 0.905 0.615 0.323
B12 0.905 0.885 0.823
H1 0.043 0.669 0.338
H2 0.043 0.831 0.838
H3 0.114 0.657 0.669
H4 0.114 0.843 0.169
H5 0.115 0.122 0.963
H6 0.115 0.378 0.463
H7 0.146 0.186 0.237
H8 0.146 0.314 0.737
H9 0.162 0.225 0.635
H10 0.162 0.275 0.135
H11 0.163 0.722 0.527
H12 0.163 0.778 0.027
H13 0.289 0.677 0.447
H14 0.289 0.823 0.947
H15 0.322 0.133 0.021
H16 0.322 0.367 0.521
H17 0.375 0.613 0.149
H18 0.375 0.887 0.649
H19 0.431 0.218 0.293
H20 0.431 0.282 0.793
H21 0.442 0.172 0.403
H22 0.442 0.328 0.903
H23 0.478 0.035 0.144
H24 0.478 0.465 0.644
H25 0.522 0.535 0.356
H26 0.522 0.965 0.856
H27 0.558 0.672 0.097
H28 0.558 0.828 0.597
H29 0.569 0.718 0.207
H30 0.569 0.782 0.707
H31 0.625 0.113 0.351
H32 0.625 0.387 0.851
H33 0.678 0.633 0.479
H34 0.678 0.867 0.979
H35 0.711 0.177 0.053
H36 0.711 0.323 0.553
H37 0.837 0.222 0.973
H38 0.837 0.278 0.473
H39 0.838 0.725 0.865
H40 0.838 0.775 0.365
H41 0.854 0.686 0.263
H42 0.854 0.814 0.763
H43 0.885 0.622 0.537
H44 0.885 0.878 0.037
H45 0.886 0.157 0.831
H46 0.886 0.343 0.331
H47 0.957 0.169 0.162
H48 0.957 0.331 0.662

2.
NaZn2B5H20 | GGA-PBE | optimized geometry

Energy above the most stable polymorph in this dataset, meV per atom: 21
Calculated density, g/cm³: 1.1
Formation energy, eV/atom: -0.220

a b c (Å): 9.915 16.508 9.460
angles (deg): 90.00 114.38 90.00
Positions (direct):
Na1 0.210 0.073 0.354
Na2 0.210 0.427 0.854
Na3 0.790 0.573 0.146
Na4 0.790 0.927 0.646
Zn1 0.193 0.724 0.872
Zn2 0.193 0.776 0.372
Zn3 0.358 0.130 0.911
Zn4 0.358 0.370 0.411
Zn5 0.642 0.630 0.589
Zn6 0.642 0.870 0.089
Zn7 0.807 0.224 0.628
Zn8 0.807 0.276 0.128
B1 0.006 0.692 0.279
B2 0.006 0.808 0.779
B3 0.179 0.593 0.859
B4 0.179 0.907 0.359
B5 0.264 0.105 0.662
B6 0.264 0.395 0.162
B7 0.284 0.085 0.086
B8 0.284 0.415 0.586
B9 0.441 0.717 0.532
B10 0.441 0.783 0.032
B11 0.559 0.217 0.968
B12 0.559 0.283 0.468
B13 0.716 0.585 0.414
B14 0.716 0.915 0.914
B15 0.736 0.605 0.838
B16 0.736 0.895 0.338
B17 0.821 0.093 0.641
B18 0.821 0.407 0.141
B19 0.994 0.192 0.221
B20 0.994 0.308 0.721
H1 0.021 0.620 0.302
H2 0.021 0.880 0.802
H3 0.049 0.723 0.412
H4 0.049 0.777 0.912
H5 0.072 0.631 0.859
H6 0.072 0.869 0.359
H7 0.085 0.710 0.208
H8 0.085 0.790 0.708
H9 0.117 0.218 0.298
H10 0.117 0.282 0.798
H11 0.132 0.554 0.739
H12 0.132 0.946 0.239
H13 0.142 0.079 0.582
H14 0.142 0.421 0.082
H15 0.200 0.029 0.066
H16 0.200 0.471 0.566
H17 0.213 0.136 0.984
H18 0.213 0.364 0.484
H19 0.236 0.557 0.981
H20 0.236 0.943 0.481
H21 0.242 0.170 0.717
H22 0.242 0.330 0.217
H23 0.281 0.635 0.847
H24 0.281 0.865 0.347
H25 0.314 0.691 0.449
H26 0.314 0.809 0.949
H27 0.326 0.051 0.762
H28 0.326 0.449 0.262
H29 0.330 0.120 0.209
H30 0.330 0.380 0.709
H31 0.348 0.121 0.602
H32 0.348 0.379 0.102
H33 0.396 0.056 0.073
H34 0.396 0.444 0.573
H35 0.459 0.712 0.064
H36 0.459 0.788 0.564
H37 0.470 0.677 0.649
H38 0.470 0.823 0.149
H39 0.493 0.201 0.051
H40 0.493 0.299 0.551
H41 0.507 0.701 0.449
H42 0.507 0.799 0.949
H43 0.530 0.177 0.851
H44 0.530 0.323 0.351
H45 0.541 0.212 0.436
H46 0.541 0.288 0.936
H47 0.604 0.556 0.427
H48 0.604 0.944 0.927
H49 0.652 0.621 0.898
H50 0.652 0.879 0.398
H51 0.670 0.620 0.291
H52 0.670 0.880 0.791
H53 0.674 0.551 0.738
H54 0.674 0.949 0.238
H55 0.686 0.191 0.051
H56 0.686 0.309 0.551
H57 0.719 0.135 0.653
H58 0.719 0.365 0.153
H59 0.758 0.670 0.783
H60 0.758 0.830 0.283
H61 0.764 0.057 0.519
H62 0.764 0.443 0.019
H63 0.787 0.636 0.516
H64 0.787 0.864 0.016
H65 0.800 0.529 0.434
H66 0.800 0.971 0.934
H67 0.858 0.579 0.918
H68 0.858 0.921 0.418
H69 0.868 0.054 0.761
H70 0.868 0.446 0.261
H71 0.883 0.718 0.202
H72 0.883 0.782 0.702
H73 0.915 0.210 0.292
H74 0.915 0.290 0.792
H75 0.928 0.131 0.641
H76 0.928 0.369 0.141
H77 0.951 0.223 0.088
H78 0.951 0.277 0.588
H79 0.979 0.120 0.198
H80 0.979 0.380 0.698